# Li2MnOF3, relaxed, DFT GGA+U
# - Energy of formation: -2.74 eV/atom
# - Total DFT energy (no corrections): -156.434 eV per cell
data_Li2MnOF3
_symmetry_space_group_name_H-M 'P 1'
_symmetry_Int_Tables_number 1
_symmetry_space_group_name_Hall 'P 1'
_cell_length_a 5.2269
_cell_length_b 9.5837
_cell_length_c 6.0614
_cell_angle_alpha 93.24
_cell_angle_beta 90.00
_cell_angle_gamma 90.00
loop_
_atom_site_label
_atom_site_type_symbol
_atom_site_fract_x
_atom_site_fract_y
_atom_site_fract_z
Li1 Li 0.4718 0.8195 0.2417
Li2 Li 0.4718 0.8195 0.7417
Li3 Li 0.0282 0.3195 0.2417
Li4 Li 0.0282 0.3195 0.7417
Li5 Li 0.0313 0.6862 0.2621
Li6 Li 0.0313 0.6862 0.7621
Li7 Li 0.4687 0.1862 0.2621
Li8 Li 0.4687 0.1862 0.7621
Mn1 Mn 0.5178 0.5137 0.9973
Mn2 Mn 0.9822 0.0137 0.4973
Mn3 Mn 0.5177 0.5137 0.4972
Mn4 Mn 0.9823 0.0137 0.9972
O1 O 0.3892 0.6172 0.2351
O2 O 0.3892 0.6172 0.7351
O3 O 0.1108 0.1172 0.2351
O4 O 0.1108 0.1172 0.7351
F1 F 0.8592 0.6159 0.0070
F2 F 0.8592 0.6159 0.5071
F3 F 0.6408 0.1159 0.0070
F4 F 0.6408 0.1159 0.5071
F5 F 0.2643 0.8625 0.4955
F6 F 0.2643 0.8625 0.9955
F7 F 0.2357 0.3625 0.4955
F8 F 0.2357 0.3625 0.9955
F9 F 0.8254 0.8849 0.2613
F10 F 0.8254 0.8849 0.7613
F11 F 0.6746 0.3849 0.2613
F12 F 0.6746 0.3849 0.7613



# Li9Mn2Co5O16, relaxed, DFT GGA+U
# - Energy of formation: -1.78 eV/atom
# - Space group: Pm (6)
# - Total DFT energy (no corrections): -184.705 eV per cell
data_Li9Mn2Co5O16
_symmetry_space_group_name_H-M 'P 1'
_symmetry_Int_Tables_number 1
_symmetry_space_group_name_Hall 'P 1'
_cell_length_a 2.9663
_cell_length_b 9.9907
_cell_length_c 10.0330
_cell_angle_alpha 78.35
_cell_angle_beta 90.00
_cell_angle_gamma 90.00
loop_
_atom_site_label
_atom_site_type_symbol
_atom_site_fract_x
_atom_site_fract_y
_atom_site_fract_z
Li1 Li 0.5000 0.2747 0.8680
Li2 Li 0.5000 0.7292 0.6295
Li3 Li 0.5000 0.2580 0.3642
Li4 Li 0.0000 0.2613 0.6144
Li5 Li 0.0000 0.7427 0.3801
Li6 Li 0.0000 0.2663 0.1273
Li7 Li 0.5000 0.7408 0.1347
Li8 Li 0.0000 0.7318 0.8775
Li9 Li 0.0000 0.4985 0.7504
Mn1 Mn 0.0000 0.9966 0.0052
Mn2 Mn 0.5000 0.9971 0.7469
Co1 Co 0.0000 0.0033 0.4910
Co2 Co 0.0000 0.5026 0.2506
Co3 Co 0.5000 0.5037 0.5141
Co4 Co 0.5000 0.0025 0.2621
Co5 Co 0.5000 0.4957 0.9887
O1 O 0.5000 0.1036 0.0526
O2 O 0.5000 0.6214 0.8318
O3 O 0.5000 0.1099 0.5724
O4 O 0.0000 0.0998 0.8130
O5 O 0.0000 0.6196 0.5608
O6 O 0.0000 0.1265 0.2989
O7 O 0.5000 0.6134 0.3174
O8 O 0.0000 0.6136 0.0802
O9 O 0.5000 0.3758 0.6696
O10 O 0.5000 0.8837 0.4314
O11 O 0.5000 0.3913 0.1819
O12 O 0.0000 0.3899 0.4189
O13 O 0.0000 0.8895 0.1808
O14 O 0.0000 0.3774 0.9427
O15 O 0.5000 0.8917 0.9418
O16 O 0.0000 0.8879 0.7010



# Fe3Ni2SbP6O24, relaxed, DFT GGA+U
# - Energy of formation: -2.27 eV/atom
# - Space group: R3 (146)
# - Total DFT energy (no corrections): -245.692 eV per cell
data_Fe3Ni2SbP6O24
_symmetry_space_group_name_H-M 'P 1'
_symmetry_Int_Tables_number 1
_symmetry_space_group_name_Hall 'P 1'
_cell_length_a 8.5054
_cell_length_b 8.5054
_cell_length_c 8.5054
_cell_angle_alpha 61.01
_cell_angle_beta 61.01
_cell_angle_gamma 61.01
loop_
_atom_site_label
_atom_site_type_symbol
_atom_site_fract_x
_atom_site_fract_y
_atom_site_fract_z
Fe1 Fe 0.1453 0.1453 0.1453
Fe2 Fe 0.3554 0.3554 0.3554
Fe3 Fe 0.6431 0.6431 0.6431
Ni1 Ni 0.0063 0.0063 0.0063
Ni2 Ni 0.4995 0.4995 0.4995
Sb1 Sb 0.8572 0.8572 0.8572
P1 P 0.4509 0.7460 0.0482
P2 P 0.7460 0.0482 0.4509
P3 P 0.0482 0.4509 0.7460
P4 P 0.9525 0.5411 0.2534
P5 P 0.2534 0.9525 0.5411
P6 P 0.5411 0.2534 0.9525
O1 O 0.5095 0.3122 0.1103
O2 O 0.1103 0.5095 0.3122
O3 O 0.2582 0.9096 0.0592
O4 O 0.3122 0.1103 0.5095
O5 O 0.6115 0.8146 0.0118
O6 O 0.4407 0.5900 0.2447
O7 O 0.9096 0.0592 0.2582
O8 O 0.5900 0.2447 0.4407
O9 O 0.9941 0.3909 0.1788
O10 O 0.2447 0.4407 0.5900
O11 O 0.9399 0.7455 0.0870
O12 O 0.1788 0.9941 0.3909
O13 O 0.8146 0.0118 0.6115
O14 O 0.0592 0.2582 0.9096
O15 O 0.7539 0.5621 0.4068
O16 O 0.0118 0.6115 0.8146
O17 O 0.4068 0.7539 0.5621
O18 O 0.0870 0.9399 0.7455
O19 O 0.5621 0.4068 0.7539
O20 O 0.3909 0.1788 0.9941
O21 O 0.6809 0.8886 0.5000
O22 O 0.7455 0.0870 0.9399
O23 O 0.8886 0.5000 0.6809
O24 O 0.5000 0.6809 0.8886



# LiMn3B3O9, relaxed, DFT GGA+U
# - Energy of formation: -2.39 eV/atom
# - Space group: P-1 (2)
# - Total DFT energy (no corrections): -242.037 eV per cell
data_LiMn3B3O9
_symmetry_space_group_name_H-M 'P 1'
_symmetry_Int_Tables_number 1
_symmetry_space_group_name_Hall 'P 1'
_cell_length_a 5.3300
_cell_length_b 5.9078
_cell_length_c 12.0593
_cell_angle_alpha 83.26
_cell_angle_beta 80.15
_cell_angle_gamma 88.21
loop_
_atom_site_label
_atom_site_type_symbol
_atom_site_fract_x
_atom_site_fract_y
_atom_site_fract_z
Li1 Li 0.7039 0.0724 0.7672
Li2 Li 0.2961 0.9276 0.2328
Mn1 Mn 0.2919 0.9009 0.6472
Mn2 Mn 0.6241 0.2565 0.9950
Mn3 Mn 0.9319 0.5884 0.3308
Mn4 Mn 0.3759 0.7435 0.0050
Mn5 Mn 0.7081 0.0991 0.3528
Mn6 Mn 0.0681 0.4116 0.6692
B1 B 0.5235 0.5196 0.7792
B2 B 0.1534 0.1262 0.8800
B3 B 0.4765 0.4804 0.2208
B4 B 0.8466 0.8738 0.1200
B5 B 0.1837 0.1794 0.4426
B6 B 0.8163 0.8206 0.5574
O1 O 0.2986 0.6147 0.7459
O2 O 0.6846 0.3957 0.7107
O3 O 0.0960 0.1013 0.7731
O4 O 0.5576 0.5383 0.8904
O5 O 0.9930 0.2335 0.9565
O6 O 0.3976 0.0467 0.9028
O7 O 0.7014 0.3853 0.2541
O8 O 0.4424 0.4617 0.1096
O9 O 0.3154 0.6043 0.2893
O10 O 0.0070 0.7665 0.0435
O11 O 0.9040 0.8987 0.2269
O12 O 0.6024 0.9533 0.0972
O13 O 0.9499 0.2700 0.4217
O14 O 0.3415 0.0800 0.3596
O15 O 0.7565 0.8129 0.4501
O16 O 0.2435 0.1871 0.5499
O17 O 0.6585 0.9200 0.6404
O18 O 0.0501 0.7300 0.5783



# KLi2FeO3, relaxed, DFT GGA+U
# - Energy of formation: -1.85 eV/atom
# - Space group: Cmcm (63)
# - Total DFT energy (no corrections): -73.765 eV per cell
data_KLi2FeO3
_symmetry_space_group_name_H-M 'P 1'
_symmetry_Int_Tables_number 1
_symmetry_space_group_name_Hall 'P 1'
_cell_length_a 5.4991
_cell_length_b 5.4991
_cell_length_c 6.1254
_cell_angle_alpha 90.00
_cell_angle_beta 90.00
_cell_angle_gamma 106.84
loop_
_atom_site_label
_atom_site_type_symbol
_atom_site_fract_x
_atom_site_fract_y
_atom_site_fract_z
K1 K 0.6751 0.6751 0.7500
K2 K 0.3249 0.3249 0.2500
Li1 Li 0.7678 0.2322 0.5000
Li2 Li 0.7678 0.2322 0.0000
Li3 Li 0.2322 0.7678 0.5000
Li4 Li 0.2322 0.7678 0.0000
Fe1 Fe 0.8182 0.8181 0.2500
Fe2 Fe 0.1817 0.1817 0.7500
O1 O 0.0000 0.0000 0.0000
O2 O 0.0000 0.0000 0.5000
O3 O 0.4839 0.8397 0.2500
O4 O 0.8397 0.4839 0.2500
O5 O 0.5161 0.1603 0.7500
O6 O 0.1603 0.5161 0.7500



# Ca2FeMoO6, relaxed, DFT GGA+U
# - Energy of formation: -2.55 eV/atom
# - Space group: P2_1/c (14)
# - Total DFT energy (no corrections): -137.831 eV per cell
data_Ca2FeMoO6
_symmetry_space_group_name_H-M 'P 1'
_symmetry_Int_Tables_number 1
_symmetry_space_group_name_Hall 'P 1'
_cell_length_a 5.5972
_cell_length_b 5.4576
_cell_length_c 9.5022
_cell_angle_alpha 55.48
_cell_angle_beta 90.00
_cell_angle_gamma 90.00
loop_
_atom_site_label
_atom_site_type_symbol
_atom_site_fract_x
_atom_site_fract_y
_atom_site_fract_z
Ca1 Ca 0.9477 0.2659 0.2458
Ca2 Ca 0.4477 0.7341 0.2542
Ca3 Ca 0.0523 0.7341 0.7542
Ca4 Ca 0.5523 0.2659 0.7458
Fe1 Fe 0.0000 0.5000 0.5000
Fe2 Fe 0.5000 0.5000 0.0000
Mo1 Mo 0.0000 0.0000 0.0000
Mo2 Mo 0.5000 0.0000 0.5000
O1 O 0.7055 0.3490 0.4513
O2 O 0.2055 0.6510 0.0487
O3 O 0.2945 0.6510 0.5487
O4 O 0.7945 0.3490 0.9513
O5 O 0.7853 0.7595 0.5482
O6 O 0.2853 0.2405 0.9518
O7 O 0.2147 0.2405 0.4518
O8 O 0.7147 0.7595 0.0482
O9 O 0.5293 0.1599 0.2481
O10 O 0.0293 0.8401 0.2519
O11 O 0.9707 0.1599 0.7481
O12 O 0.4707 0.8401 0.7519



Number 1: total magnetization 0.000 μB/f.u.. Number 2: total magnetization 16.002 μB/f.u.. Number 3: total magnetization 19.000 μB/f.u.. Number 4: total magnetization 13.000 μB/f.u.. Number 5: total magnetization 0.000 μB/f.u.. Number 6: total magnetization 6.000 μB/f.u..